Entry 1:
# Ho2MgPd2

Crystalline Ho2MgPd2 at its relaxed geometry (GGA-PBE, Materials Project).

The value obtained for the calculated volume is 22.2 Å³ per atom. The total energy is -5.01 eV/atom. The value obtained for the magnetic moment is 0.00 μB per cell. Its formation energy from the elements is -0.79 eV/atom.

CIF file:
```
data_Ho2MgPd2
_cell_length_a 7.604
_cell_length_b 7.604
_cell_length_c 3.832
_cell_angle_alpha 90.00
_cell_angle_beta 90.00
_cell_angle_gamma 90.00
_space_group_name_H-M_alt 'P 4/m b m'
_space_group_IT_number 127
_space_group_name_Hall '-P 4 2ab'
loop_
_atom_site_label
_atom_site_type_symbol
_atom_site_fract_x
_atom_site_fract_y
_atom_site_fract_z
Ho1 Ho 0.171 0.329 0.000
Mg1 Mg 0.000 0.000 0.500
Pd1 Pd 0.131 0.631 0.500
```

Entry 2:
# Na14Sc6Ta2Si9S3O48

Crystalline Na14Sc6Ta2Si9S3O48 at its relaxed geometry (GGA-PBE, Materials Project).

The value obtained for the calculated volume is 13.4 Å³ per atom. The total energy is -7.15 eV/atom. The value obtained for the magnetic moment is 0.00 μB per cell. Its formation energy from the elements is -2.93 eV/atom. The MP2020-corrected energy is -1857.15 eV/cell.

CIF file:
```
data_Na14Sc6Ta2Si9S3O48
_cell_length_a 9.163
_cell_length_b 15.889
_cell_length_c 22.594
_cell_angle_alpha 90.22
_cell_angle_beta 90.01
_cell_angle_gamma 90.04
_space_group_name_H-M_alt 'P 1'
_space_group_IT_number 1
loop_
_space_group_symop_operation_xyz
'x,y,z'
loop_
_atom_site_label
_atom_site_type_symbol
_atom_site_fract_x
_atom_site_fract_y
_atom_site_fract_z
Na1 Na 0.000 0.000 0.000
Na2 Na 0.002 0.654 0.335
Na3 Na 0.008 0.326 0.678
Na4 Na 0.023 0.300 0.337
Na5 Na 0.048 0.984 0.340
Na6 Na 0.049 0.650 0.679
Na7 Na 0.063 0.319 0.004
Na8 Na 0.180 0.810 0.759
Na9 Na 0.181 0.478 0.084
Na10 Na 0.191 0.148 0.417
Na11 Na 0.194 0.146 0.922
Na12 Na 0.195 0.807 0.251
Na13 Na 0.200 0.467 0.580
Na14 Na 0.317 0.648 0.179
Na15 Na 0.340 0.988 0.843
Na16 Na 0.364 0.331 0.167
Na17 Na 0.367 0.296 0.841
Na18 Na 0.375 0.623 0.499
Na19 Na 0.378 0.653 0.844
Na20 Na 0.385 0.955 0.169
Na21 Na 0.500 0.456 0.672
Na22 Na 0.505 0.156 0.340
Na23 Na 0.511 0.125 0.999
Na24 Na 0.521 0.796 0.334
Na25 Na 0.521 0.831 0.672
Na26 Na 0.548 0.486 0.340
Na27 Na 0.567 0.150 0.684
Na28 Na 0.683 0.968 0.079
Na29 Na 0.688 0.307 0.759
Na30 Na 0.689 0.644 0.420
Na31 Na 0.689 0.978 0.590
Na32 Na 0.693 0.643 0.921
Na33 Na 0.702 0.311 0.254
Na34 Na 0.813 0.812 0.502
Na35 Na 0.829 0.151 0.173
Na36 Na 0.833 0.482 0.846
Na37 Na 0.859 0.800 0.840
Na38 Na 0.873 0.824 0.172
Na39 Na 0.876 0.158 0.840
Na40 Na 0.883 0.499 0.500
Na41 Na 0.888 0.458 0.170
Na42 Na 0.993 0.960 0.680
Sc1 Sc 0.182 0.151 0.278
Sc2 Sc 0.183 0.477 0.241
Sc3 Sc 0.188 0.152 0.778
Sc4 Sc 0.190 0.154 0.063
Sc5 Sc 0.191 0.478 0.941
Sc6 Sc 0.191 0.810 0.605
Sc7 Sc 0.194 0.475 0.442
Sc8 Sc 0.194 0.475 0.745
Sc9 Sc 0.194 0.812 0.106
Sc10 Sc 0.681 0.979 0.438
Sc11 Sc 0.688 0.974 0.244
Sc12 Sc 0.689 0.976 0.942
Sc13 Sc 0.690 0.312 0.607
Sc14 Sc 0.693 0.653 0.563
Sc15 Sc 0.694 0.652 0.277
Sc16 Sc 0.699 0.314 0.102
Sc17 Sc 0.699 0.977 0.742
Sc18 Sc 0.702 0.651 0.778
Ta1 Ta 0.181 0.154 0.570
Ta2 Ta 0.187 0.815 0.904
Ta3 Ta 0.198 0.808 0.402
Ta4 Ta 0.690 0.315 0.906
Ta5 Ta 0.697 0.315 0.403
Ta6 Ta 0.708 0.651 0.067
Si1 Si 0.040 0.332 0.841
Si2 Si 0.041 0.294 0.173
Si3 Si 0.046 0.665 0.507
Si4 Si 0.049 0.625 0.839
Si5 Si 0.339 0.295 0.675
Si6 Si 0.339 0.623 0.340
Si7 Si 0.339 0.960 0.010
Si8 Si 0.342 0.333 0.338
Si9 Si 0.393 0.979 0.338
Si10 Si 0.399 0.317 0.010
Si11 Si 0.486 0.818 0.510
Si12 Si 0.488 0.479 0.839
Si13 Si 0.541 0.833 0.838
Si14 Si 0.544 0.459 0.509
Si15 Si 0.545 0.793 0.173
Si16 Si 0.547 0.127 0.840
Si17 Si 0.834 0.124 0.340
Si18 Si 0.836 0.165 0.007
Si19 Si 0.839 0.463 0.008
Si20 Si 0.840 0.795 0.672
Si21 Si 0.842 0.833 0.342
Si22 Si 0.893 0.146 0.675
Si23 Si 0.897 0.481 0.341
Si24 Si 0.901 0.814 0.008
Si25 Si 0.982 0.313 0.508
Si26 Si 0.986 0.981 0.841
Si27 Si 0.990 0.646 0.175
S1 S 0.044 0.000 0.173
S2 S 0.050 0.962 0.507
S3 S 0.334 0.003 0.670
S4 S 0.343 0.666 0.007
S5 S 0.397 0.645 0.672
S6 S 0.485 0.145 0.174
S7 S 0.540 0.165 0.507
S8 S 0.547 0.502 0.172
S9 S 0.839 0.501 0.672
O1 O 0.000 0.158 0.731
O2 O 0.001 0.494 0.676
O3 O 0.010 0.139 0.335
O4 O 0.011 0.798 0.950
O5 O 0.013 0.472 0.001
O6 O 0.014 0.161 0.007
O7 O 0.015 0.136 0.616
O8 O 0.022 0.809 0.668
O9 O 0.023 0.826 0.351
O10 O 0.061 0.390 0.781
O11 O 0.072 0.236 0.232
O12 O 0.075 0.562 0.893
O13 O 0.079 0.051 0.120
O14 O 0.079 0.396 0.502
O15 O 0.081 0.911 0.560
O16 O 0.088 0.560 0.174
O17 O 0.088 0.730 0.451
O18 O 0.090 0.224 0.512
O19 O 0.090 0.891 0.849
O20 O 0.091 0.731 0.168
O21 O 0.103 0.057 0.833
O22 O 0.106 0.040 0.227
O23 O 0.108 0.238 0.836
O24 O 0.108 0.913 0.171
O25 O 0.110 0.921 0.453
O26 O 0.113 0.246 0.115
O27 O 0.114 0.712 0.565
O28 O 0.119 0.375 0.898
O29 O 0.120 0.573 0.503
O30 O 0.123 0.387 0.177
O31 O 0.123 0.590 0.777
O32 O 0.124 0.047 0.512
O33 O 0.128 0.720 0.850
O34 O 0.252 0.050 0.010
O35 O 0.254 0.386 0.673
O36 O 0.255 0.375 0.392
O37 O 0.257 0.588 0.280
O38 O 0.263 0.722 0.348
O39 O 0.265 0.904 0.952
O40 O 0.266 0.238 0.616
O41 O 0.267 0.917 0.666
O42 O 0.275 0.041 0.725
O43 O 0.276 0.583 0.002
O44 O 0.278 0.237 0.332
O45 O 0.284 0.059 0.331
O46 O 0.284 0.707 0.061
O47 O 0.288 0.396 0.004
O48 O 0.290 0.894 0.350
O49 O 0.296 0.056 0.617
O50 O 0.300 0.571 0.675
O51 O 0.304 0.906 0.069
O52 O 0.305 0.725 0.670
O53 O 0.307 0.227 0.008
O54 O 0.309 0.236 0.731
O55 O 0.310 0.568 0.398
O56 O 0.312 0.720 0.953
O57 O 0.332 0.392 0.279
O58 O 0.361 0.821 0.851
O59 O 0.367 0.803 0.168
O60 O 0.369 0.809 0.452
O61 O 0.370 0.139 0.834
O62 O 0.370 0.473 0.503
O63 O 0.375 0.155 0.512
O64 O 0.378 0.501 0.892
O65 O 0.385 0.496 0.174
O66 O 0.387 0.827 0.569
O67 O 0.392 0.151 0.227
O68 O 0.393 0.134 0.120
O69 O 0.393 0.458 0.778
O70 O 0.489 0.636 0.618
O71 O 0.489 0.955 0.280
O72 O 0.490 0.654 0.726
O73 O 0.495 0.323 0.070
O74 O 0.495 0.996 0.672
O75 O 0.500 0.999 0.393
O76 O 0.506 0.660 0.011
O77 O 0.512 0.973 0.002
O78 O 0.513 0.306 0.952
O79 O 0.514 0.639 0.334
O80 O 0.516 0.304 0.668
O81 O 0.522 0.321 0.351
O82 O 0.551 0.891 0.777
O83 O 0.567 0.217 0.454
O84 O 0.572 0.068 0.897
O85 O 0.574 0.728 0.507
O86 O 0.574 0.738 0.233
O87 O 0.576 0.223 0.172
O88 O 0.580 0.405 0.569
O89 O 0.582 0.069 0.177
O90 O 0.585 0.555 0.120
O91 O 0.589 0.392 0.848
O92 O 0.596 0.207 0.561
O93 O 0.599 0.559 0.830
O94 O 0.600 0.897 0.505
O95 O 0.604 0.737 0.831
O96 O 0.607 0.541 0.227
O97 O 0.608 0.081 0.503
O98 O 0.612 0.416 0.169
O99 O 0.616 0.736 0.117
O100 O 0.619 0.404 0.453
O101 O 0.622 0.223 0.848
O102 O 0.625 0.088 0.780
O103 O 0.629 0.876 0.891
O104 O 0.629 0.885 0.173
O105 O 0.630 0.550 0.509
O106 O 0.750 0.555 0.015
O107 O 0.755 0.219 0.351
O108 O 0.757 0.087 0.280
O109 O 0.759 0.887 0.676
O110 O 0.764 0.073 0.002
O111 O 0.766 0.414 0.949
O112 O 0.767 0.875 0.400
O113 O 0.768 0.208 0.067
O114 O 0.770 0.747 0.613
O115 O 0.774 0.414 0.669
O116 O 0.775 0.739 0.337
O117 O 0.776 0.540 0.726
O118 O 0.781 0.558 0.333
O119 O 0.793 0.230 0.668
O120 O 0.793 0.391 0.349
O121 O 0.796 0.060 0.672
O122 O 0.796 0.727 0.012
O123 O 0.797 0.230 0.951
O124 O 0.804 0.551 0.619
O125 O 0.805 0.898 0.001
O126 O 0.808 0.062 0.396
O127 O 0.810 0.406 0.066
O128 O 0.814 0.734 0.729
O129 O 0.823 0.891 0.283
O130 O 0.860 0.305 0.171
O131 O 0.860 0.324 0.848
O132 O 0.868 0.661 0.507
O133 O 0.871 0.636 0.117
O134 O 0.872 0.641 0.835
O135 O 0.874 0.297 0.450
O136 O 0.881 0.994 0.177
O137 O 0.885 0.319 0.567
O138 O 0.886 0.659 0.232
O139 O 0.888 0.997 0.899
O140 O 0.891 0.956 0.781
O141 O 0.891 0.971 0.503
O142 O 0.994 0.457 0.283
O143 O 0.994 0.497 0.400
O144 O 0.999 0.821 0.068
```

Entry 3:
# KLuS2

Crystalline KLuS2 at its relaxed geometry (GGA-PBE, Materials Project).

The value obtained for the calculated volume is 25.1 Å³ per atom. The total energy is -5.35 eV/atom. Its formation energy from the elements is -2.12 eV/atom. The MP2020-corrected energy is -67.20 eV/cell.

CIF file:
```
data_KLuS2
_cell_length_a 3.9710
_cell_length_b 3.9710
_cell_length_c 22.0148
_cell_angle_alpha 90.00
_cell_angle_beta 90.00
_cell_angle_gamma 120.00
_space_group_name_H-M_alt 'R -3 m'
_space_group_IT_number 166
_space_group_name_Hall '-R 3 2"'
loop_
_atom_site_label
_atom_site_type_symbol
_atom_site_fract_x
_atom_site_fract_y
_atom_site_fract_z
K1 K 0.0000 0.0000 0.0000
Lu1 Lu 0.0000 0.0000 0.5000
S1 S 0.0000 0.0000 0.2328
```

Entry 4:
# Li2NdPCO7

Crystalline Li2NdPCO7 at its relaxed geometry (GGA-PBE, Materials Project).

The value obtained for the calculated volume is 13.3 Å³ per atom. The total energy is -7.17 eV/atom. The value obtained for the magnetic moment is 0.00 μB per cell. Its formation energy from the elements is -2.75 eV/atom. The MP2020-corrected energy is -181.62 eV/cell.

CIF file:
```
data_Li2NdPCO7
_cell_length_a 4.993
_cell_length_b 6.919
_cell_length_c 9.284
_cell_angle_alpha 90.00
_cell_angle_beta 93.15
_cell_angle_gamma 90.00
_space_group_name_H-M_alt 'P 1 21/m 1'
_space_group_IT_number 11
loop_
_space_group_symop_operation_xyz
'x,y,z'
'-x,-y,-z'
'-x,y+1/2,-z'
'x,-y+1/2,z'
loop_
_atom_site_label
_atom_site_type_symbol
_atom_site_fract_x
_atom_site_fract_y
_atom_site_fract_z
Li1 Li 0.208 0.026 0.303
Nd1 Nd 0.257 0.250 0.875
P1 P 0.259 0.750 0.897
C1 C 0.259 0.250 0.568
O1 O 0.030 0.250 0.630
O2 O 0.116 0.568 0.835
O3 O 0.243 0.750 0.067
O4 O 0.277 0.250 0.432
O5 O 0.436 0.250 0.128
O6 O 0.477 0.250 0.657
```

Entry 5:
# Zn2AsO5

Crystalline Zn2AsO5 at its relaxed geometry (GGA-PBE, Materials Project).

For the energy above the most stable polymorph in this dataset, the calculation gives 41 meV/atom. The value obtained for the calculated volume is 13.5 Å³ per atom. The total energy is -5.12 eV/atom. The value obtained for the magnetic moment is 2.00 μB per cell. Its formation energy from the elements is -1.56 eV/atom. The MP2020-corrected energy is -88.76 eV/cell.

CIF file:
```
data_Zn2AsO5
_cell_length_a 5.723
_cell_length_b 5.889
_cell_length_c 6.832
_cell_angle_alpha 75.05
_cell_angle_beta 75.93
_cell_angle_gamma 88.33
_space_group_name_H-M_alt 'P -1'
_space_group_IT_number 2
loop_
_space_group_symop_operation_xyz
'x,y,z'
'-x,-y,-z'
loop_
_atom_site_label
_atom_site_type_symbol
_atom_site_fract_x
_atom_site_fract_y
_atom_site_fract_z
Zn1 Zn 0.029 0.237 0.311
Zn2 Zn 0.394 0.745 0.000
As1 As 0.172 0.255 0.770
O1 O 0.046 0.756 0.998
O2 O 0.058 0.110 0.621
O3 O 0.234 0.542 0.638
O4 O 0.349 0.398 0.179
O5 O 0.423 0.113 0.834
```

Entry 6:
# Y2RuRh

Crystalline Y2RuRh at its relaxed geometry (GGA-PBE, Materials Project).

The value obtained for the calculated volume is 20.1 Å³ per atom. The total energy is -7.98 eV/atom. Its formation energy from the elements is -0.58 eV/atom.

CIF file:
```
data_Y2RuRh
_cell_length_a 6.854
_cell_length_b 6.854
_cell_length_c 6.854
_cell_angle_alpha 90.00
_cell_angle_beta 90.00
_cell_angle_gamma 90.00
_space_group_name_H-M_alt 'F m -3 m'
_space_group_IT_number 225
_space_group_name_Hall '-F 4 2 3'
loop_
_atom_site_label
_atom_site_type_symbol
_atom_site_fract_x
_atom_site_fract_y
_atom_site_fract_z
Y1 Y 0.250 0.250 0.250
Ru1 Ru 0.000 0.000 0.000
Rh1 Rh 0.000 0.000 0.500
```

- What is the formation energy from the elements in the fifth record?
  -1.56 eV/atom

- The lowest formation energy from the elements belongs to which entry?
  Na14Sc6Ta2Si9S3O48

- The lowest calculated volume belongs to which entry?
  Li2NdPCO7